Entry 1:
KH3C2O3 | the Materials Project | PBE | relaxed; total energy after the MP2020 corrections = -6.17 eV per atom; SG = P-1 (2); ΔH_f (0 K) = -1217 meV per atom; DFT total energy = -0.43679 Ry/atom
1.0
-2.4042 1.5595 -2.6031
-1.4218 -5.3145 -1.5022
-6.6606 1.7844 7.2864
O H K C
6 6 2 4
direct
0.6070 0.0514 0.2540 O
0.5942 0.6502 0.2577 O
0.6581 0.2241 0.9142 O
0.4058 0.3498 0.7423 O
0.3419 0.7759 0.0858 O
0.3930 0.9486 0.7460 O
0.0092 0.1745 0.6108 H
0.4196 0.2046 0.5330 H
0.5804 0.7954 0.4670 H
0.9908 0.8255 0.3892 H
0.8310 0.5369 0.4137 H
0.1690 0.4631 0.5863 H
0.1244 0.2892 0.1245 K
0.8756 0.7108 0.8755 K
0.7588 0.7085 0.3900 C
0.2412 0.2915 0.6100 C
0.4891 0.1564 0.8037 C
0.5109 0.8436 0.1963 C



Entry 2:
BaAg2Te2 | the Materials Project | PBE | relaxed; total energy after the MP2020 corrections = -3.73 eV per atom; SG = Pnma (62); ΔH_f (0 K) = -957 meV per atom; DFT total energy = -0.26182 Ry/atom
1.0
-0.1787 -4.1794 2.0984
5.6360 -4.4866 -8.4560
10.2728 2.3679 5.5907
Ag Te Ba
8 8 4
direct
0.7500 0.4384 0.9523 Ag
0.2500 0.0616 0.4523 Ag
0.2500 0.5598 0.5851 Ag
0.7500 0.9384 0.5477 Ag
0.7500 0.4402 0.4149 Ag
0.2500 0.5616 0.0477 Ag
0.2500 0.0598 0.9149 Ag
0.7500 0.9402 0.0851 Ag
0.2500 0.8176 0.0183 Te
0.2500 0.9778 0.6870 Te
0.7500 0.0222 0.3130 Te
0.7500 0.6824 0.5183 Te
0.2500 0.4778 0.8130 Te
0.7500 0.1824 0.9817 Te
0.2500 0.3176 0.4817 Te
0.7500 0.5222 0.1870 Te
0.7500 0.2431 0.6936 Ba
0.2500 0.2569 0.1936 Ba
0.7500 0.7431 0.8064 Ba
0.2500 0.7569 0.3064 Ba



Entry 3:
NiPt | the Materials Project | PBE | relaxed; SG = P4/mmm (123); ΔH_f (0 K) = -95 meV per atom; DFT total energy = -0.44252 Ry/atom
1.0
2.7188 0.0000 0.0000
0.0000 2.7188 0.0000
0.0000 0.0000 3.6277
Pt Ni
1 1
direct
0.0000 0.0000 0.0000 Pt
0.5000 0.5000 0.5000 Ni



Entry 4:
Zn2BrN | the Materials Project | PBE | relaxed; total energy after the MP2020 corrections = -3.59 eV per atom; SG = Pna2_1 (33); ΔH_f (0 K) = -469 meV per atom; DFT total energy = -0.25739 Ry/atom
1.0
0.9889 -5.6211 2.2911
-3.9436 1.2337 4.7288
-5.8768 -2.7401 -4.1861
Br N Zn
4 4 8
direct
0.6250 0.9191 0.6197 Br
0.6250 0.4191 0.8803 Br
0.1250 0.0809 0.3803 Br
0.1250 0.5809 0.1197 Br
0.1249 0.0679 0.8729 N
0.1249 0.5679 0.6271 N
0.6249 0.4321 0.3729 N
0.6249 0.9321 0.1271 N
0.0928 0.3679 0.8177 Zn
0.4054 0.0188 0.9682 Zn
0.0928 0.8679 0.6823 Zn
0.9054 0.4812 0.4682 Zn
0.9054 0.9812 0.0318 Zn
0.5928 0.1321 0.3177 Zn
0.5928 0.6321 0.1823 Zn
0.4054 0.5188 0.5318 Zn



Entry 5:
UCoAs2 | the Materials Project | PBE | relaxed; SG = P4/nmm (129); ΔH_f (0 K) = -553 meV per atom; DFT total energy = -0.54996 Ry/atom
1.0
-3.5339 0.3545 -1.8216
1.5843 -1.4641 -3.3584
-2.1593 -8.2590 2.5818
U Co As
2 2 4
direct
0.5000 0.0000 0.2528 U
0.0000 0.5000 0.7472 U
0.5000 0.5000 0.5000 Co
0.0000 0.0000 0.5000 Co
0.5000 0.5000 0.0000 As
0.0000 0.0000 0.0000 As
0.0000 0.5000 0.3436 As
0.5000 0.0000 0.6564 As



Entry 6:
WSCl4 | the Materials Project | PBE | relaxed; total energy after the MP2020 corrections = -5.37 eV per atom; SG = P-1 (2); ΔE to the lowest computed polymorph = 0.0002 eV/atom; ΔH_f (0 K) = -1293 meV per atom; DFT total energy = -0.35873 Ry/atom
1.0
1.8337 4.4897 -4.6134
-5.6246 5.1712 2.2961
5.7427 0.8121 6.0432
Cl W S
8 2 2
direct
0.0579 0.7320 0.4579 Cl
0.6047 0.4364 0.7317 Cl
0.8046 0.8366 0.1233 Cl
0.1954 0.1634 0.8767 Cl
0.1440 0.6724 0.9342 Cl
0.8560 0.3276 0.0658 Cl
0.3953 0.5636 0.2683 Cl
0.9421 0.2680 0.5421 Cl
0.1430 0.7627 0.2155 W
0.8570 0.2373 0.7845 W
0.3035 0.9982 0.2857 S
0.6965 0.0018 0.7143 S



Entry 7:
U11Ni16 | the Materials Project | PBE | relaxed; SG = R-3 (148); ΔH_f (0 K) = -251 meV per atom; DFT total energy = -0.60830 Ry/atom
1.0
9.2849 -0.0136 2.5101
1.9182 9.0846 2.5101
-0.0168 -0.0136 9.6182
Ni U
32 22
direct
0.5741 0.7273 0.9921 Ni
0.7273 0.9921 0.5741 Ni
0.9921 0.5741 0.7273 Ni
0.8136 0.6485 0.3340 Ni
0.9384 0.9384 0.9384 Ni
0.8173 0.7249 0.5587 Ni
0.2727 0.0079 0.4259 Ni
0.8876 0.2790 0.1548 Ni
0.5854 0.6520 0.2569 Ni
0.6520 0.2569 0.5854 Ni
0.0079 0.4259 0.2727 Ni
0.8452 0.1124 0.7210 Ni
0.7210 0.8452 0.1124 Ni
0.7249 0.5587 0.8173 Ni
0.6485 0.3340 0.8136 Ni
0.0616 0.0616 0.0616 Ni
0.1548 0.8876 0.2790 Ni
0.2569 0.5854 0.6520 Ni
0.4259 0.2727 0.0079 Ni
0.1827 0.2751 0.4413 Ni
0.4413 0.1827 0.2751 Ni
0.3515 0.6660 0.1864 Ni
0.2751 0.4413 0.1827 Ni
0.1124 0.7210 0.8452 Ni
0.3340 0.8136 0.6485 Ni
0.6660 0.1864 0.3515 Ni
0.4146 0.3480 0.7431 Ni
0.1864 0.3515 0.6660 Ni
0.2790 0.1548 0.8876 Ni
0.7431 0.4146 0.3480 Ni
0.5587 0.8173 0.7249 Ni
0.3480 0.7431 0.4146 Ni
0.1257 0.4130 0.9476 U
0.5870 0.0524 0.8743 U
0.1153 0.5864 0.4228 U
0.5720 0.5720 0.5720 U
0.9430 0.2790 0.8541 U
0.0570 0.7210 0.1459 U
0.1938 0.1938 0.1938 U
0.2790 0.8541 0.9430 U
0.5864 0.4228 0.1153 U
0.4280 0.4280 0.4280 U
0.1459 0.0570 0.7210 U
0.4228 0.1153 0.5864 U
0.8062 0.8062 0.8062 U
0.8541 0.9430 0.2790 U
0.8743 0.5870 0.0524 U
0.7210 0.1459 0.0570 U
0.4130 0.9476 0.1257 U
0.0524 0.8743 0.5870 U
0.9476 0.1257 0.4130 U
0.8847 0.4136 0.5772 U
0.4136 0.5772 0.8847 U
0.5772 0.8847 0.4136 U



Entry 8:
Cs3AuO2 | the Materials Project | PBE | relaxed; total energy after the MP2020 corrections = -3.86 eV per atom; SG = P2_1/c (14); ΔH_f (0 K) = -1216 meV per atom; DFT total energy = -0.26681 Ry/atom
1.0
-12.3824 -9.5918 12.6097
6.5375 1.8438 7.8221
1.1231 10.8644 9.3670
O Cs Au
24 36 12
direct
0.8196 0.0587 0.0888 O
0.3196 0.9413 0.4112 O
0.4916 0.2842 0.3848 O
0.3240 0.2640 0.8581 O
0.3497 0.5868 0.9529 O
0.9916 0.7158 0.1152 O
0.8240 0.7360 0.6419 O
0.5084 0.7158 0.6152 O
0.1804 0.9413 0.9112 O
0.0061 0.9325 0.3655 O
0.1503 0.5868 0.4529 O
0.6760 0.7360 0.1419 O
0.4939 0.9325 0.8655 O
0.5061 0.0675 0.1345 O
0.3475 0.6055 0.3326 O
0.8497 0.4132 0.5471 O
0.1525 0.6055 0.8326 O
0.9939 0.0675 0.6345 O
0.6804 0.0587 0.5888 O
0.0084 0.2842 0.8848 O
0.6503 0.4132 0.0471 O
0.8475 0.3945 0.1674 O
0.6525 0.3945 0.6674 O
0.1760 0.2640 0.3581 O
0.7515 0.1537 0.2189 Cs
0.4287 0.7689 0.4129 Cs
0.4109 0.9205 0.0747 Cs
0.5891 0.0795 0.9253 Cs
0.0713 0.7689 0.9129 Cs
0.9132 0.7304 0.2961 Cs
0.4132 0.2696 0.2039 Cs
0.5893 0.0463 0.4261 Cs
0.0955 0.2369 0.2065 Cs
0.5713 0.2311 0.5871 Cs
0.2560 0.3466 0.9942 Cs
0.2440 0.3466 0.4942 Cs
0.7560 0.6534 0.5058 Cs
0.5868 0.7304 0.7961 Cs
0.5955 0.7631 0.2935 Cs
0.9287 0.2311 0.0871 Cs
0.2485 0.8463 0.7811 Cs
0.7325 0.4015 0.8628 Cs
0.2515 0.8463 0.2811 Cs
0.7675 0.4015 0.3628 Cs
0.0893 0.9537 0.0739 Cs
0.9107 0.0463 0.9261 Cs
0.2675 0.5985 0.1372 Cs
0.4365 0.4343 0.8660 Cs
0.2325 0.5985 0.6372 Cs
0.4107 0.9537 0.5739 Cs
0.0635 0.4343 0.3660 Cs
0.0891 0.9205 0.5747 Cs
0.9045 0.7631 0.7935 Cs
0.5635 0.5657 0.1340 Cs
0.7485 0.1537 0.7189 Cs
0.9365 0.5657 0.6340 Cs
0.7440 0.6534 0.0058 Cs
0.9109 0.0795 0.4253 Cs
0.0868 0.2696 0.7039 Cs
0.4045 0.2369 0.7065 Cs
0.7482 0.8976 0.1153 Au
0.9215 0.2381 0.5930 Au
0.4215 0.7619 0.9070 Au
0.9207 0.5555 0.1380 Au
0.5793 0.5555 0.6380 Au
0.0793 0.4445 0.8620 Au
0.2482 0.1024 0.3847 Au
0.2518 0.1024 0.8847 Au
0.7518 0.8976 0.6153 Au
0.5785 0.2381 0.0930 Au
0.0785 0.7619 0.4070 Au
0.4207 0.4445 0.3620 Au



Entry 9:
Cs2KLaCl6 | the Materials Project | PBE | relaxed; total energy after the MP2020 corrections = -4.42 eV per atom; SG = Fm-3m (225); ΔH_f (0 K) = -2530 meV per atom; DFT total energy = -0.29796 Ry/atom
1.0
0.0000 5.8117 5.8117
5.8117 0.0000 5.8117
5.8117 5.8117 0.0000
Cl Cs K La
6 2 1 1
direct
0.2389 0.7611 0.2389 Cl
0.7611 0.7611 0.2389 Cl
0.7611 0.2389 0.2389 Cl
0.7611 0.2389 0.7611 Cl
0.2389 0.2389 0.7611 Cl
0.2389 0.7611 0.7611 Cl
0.7500 0.7500 0.7500 Cs
0.2500 0.2500 0.2500 Cs
0.5000 0.5000 0.5000 K
0.0000 0.0000 0.0000 La



Entry 10:
CeMg2Ag | the Materials Project | PBE | relaxed; SG = Fm-3m (225); ΔH_f (0 K) = -14 meV per atom; DFT total energy = -0.22087 Ry/atom
1.0
0.0000 3.5944 3.5944
3.5944 0.0000 3.5944
3.5944 3.5944 0.0000
Mg Ag Ce
2 1 1
direct
0.7500 0.7500 0.7500 Mg
0.2500 0.2500 0.2500 Mg
0.0000 0.0000 0.0000 Ag
0.5000 0.5000 0.5000 Ce



Entry 11:
Ca5Zr2N6 | the Materials Project | PBE | relaxed; total energy after the MP2020 corrections = -7.12 eV per atom; SG = C2/c (15); ΔH_f (0 K) = -1184 meV per atom; DFT total energy = -0.51091 Ry/atom
1.0
-2.2374 4.2439 4.3097
4.9066 -4.6663 1.5458
8.8159 6.7467 -7.6166
N Zr Ca
12 4 10
direct
0.6198 0.4561 0.0974 N
0.9198 0.9055 0.6072 N
0.7004 0.3400 0.8533 N
0.9198 0.0143 0.1072 N
0.3802 0.5439 0.9026 N
0.2996 0.6396 0.6467 N
0.0802 0.0945 0.3928 N
0.0802 0.9857 0.8928 N
0.6198 0.1637 0.5974 N
0.7004 0.3604 0.3533 N
0.2996 0.6600 0.1467 N
0.3802 0.8363 0.4026 N
0.5527 0.7148 0.0631 Zr
0.4473 0.1621 0.4369 Zr
0.5527 0.8379 0.5631 Zr
0.4473 0.2852 0.9369 Zr
0.0424 0.7759 0.0289 Ca
0.0000 0.4154 0.7500 Ca
0.6670 0.9960 0.2868 Ca
0.9576 0.2241 0.9711 Ca
0.9576 0.7336 0.4711 Ca
0.3330 0.3289 0.2132 Ca
0.0000 0.5846 0.2500 Ca
0.0424 0.2664 0.5289 Ca
0.6670 0.6711 0.7868 Ca
0.3330 0.0040 0.7132 Ca



Entry 12:
Mg5In | the Materials Project | PBE | relaxed; SG = Cm (8); ΔH_f (0 K) = -29 meV per atom; DFT total energy = -0.13386 Ry/atom
1.0
0.4551 -3.8057 4.7936
3.0347 -1.8772 4.9936
-3.2214 3.7192 5.6883
Mg In
5 1
direct
0.2787 0.2787 0.9432 Mg
0.9440 0.9440 0.6115 Mg
0.6677 0.6677 0.6683 Mg
0.3329 0.3329 0.3337 Mg
0.9993 0.9993 0.9981 Mg
0.6106 0.6106 0.2786 In



Entry 13:
GdIn | the Materials Project | PBE | relaxed; SG = Pm-3m (221); ΔH_f (0 K) = -478 meV per atom; DFT total energy = -0.65353 Ry/atom
1.0
3.8272 0.0000 0.0000
0.0000 3.8272 0.0000
0.0000 0.0000 3.8272
Gd In
1 1
direct
0.0000 0.0000 0.0000 Gd
0.5000 0.5000 0.5000 In



Entry 14:
Re2C3I4O3 | the Materials Project | PBE | relaxed; total energy after the MP2020 corrections = -6.73 eV per atom; SG = C2/c (15); ΔH_f (0 K) = -607 meV per atom; DFT total energy = -0.48228 Ry/atom
1.0
10.3587 -3.5706 -5.2675
11.2941 -2.8690 3.4655
-2.2242 -12.6204 1.2521
I C Re O
16 12 8 12
direct
0.3803 0.6697 0.1039 I
0.3420 0.8531 0.5750 I
0.6751 0.5753 0.3270 I
0.6580 0.1469 0.4250 I
0.1469 0.6580 0.9250 I
0.8531 0.3420 0.0750 I
0.6197 0.3303 0.8961 I
0.0240 0.8707 0.6377 I
0.3303 0.6197 0.3961 I
0.8707 0.0240 0.1377 I
0.3249 0.4247 0.6730 I
0.9760 0.1293 0.3623 I
0.6697 0.3803 0.6039 I
0.4247 0.3249 0.1730 I
0.5753 0.6751 0.8270 I
0.1293 0.9760 0.8623 I
0.7832 0.8739 0.8071 C
0.6825 0.9075 0.1384 C
0.9858 0.5485 0.8359 C
0.0142 0.4515 0.1641 C
0.2168 0.1261 0.1929 C
0.0925 0.3175 0.3616 C
0.1261 0.2168 0.6929 C
0.9075 0.6825 0.6384 C
0.5485 0.9858 0.3359 C
0.8739 0.7832 0.3071 C
0.4515 0.0142 0.6641 C
0.3175 0.0925 0.8616 C
0.6812 0.9958 0.2547 Re
0.6290 0.3552 0.1641 Re
0.6448 0.3710 0.3359 Re
0.3710 0.6448 0.8359 Re
0.0042 0.3188 0.2453 Re
0.3188 0.0042 0.7453 Re
0.9958 0.6812 0.7547 Re
0.3552 0.6290 0.6641 Re
0.9932 0.6535 0.3378 O
0.0245 0.5297 0.1143 O
0.5297 0.0245 0.6143 O
0.6818 0.8541 0.0684 O
0.6535 0.9932 0.8378 O
0.9755 0.4703 0.8857 O
0.3465 0.0068 0.1622 O
0.1459 0.3182 0.4316 O
0.4703 0.9755 0.3857 O
0.3182 0.1459 0.9316 O
0.0068 0.3465 0.6622 O
0.8541 0.6818 0.5684 O